No. 1
This record from the Materials Project describes Li7Mn2Co3O12 after structural relaxation. The functional is PBE+U.

Summary:
- MP2020-corrected energy: -6.534 eV per atom
- M_tot: 18.0 μB per formula unit
- Distance to the lowest polymorph of the same formula: 82.1 meV/atom
- Energy relative to the elements: -178.6 kJ/mol of atoms
- Uncorrected energy: -5.8468 eV per atom
- Volume: 9.1 Å³ per atom

```
data_Li7Mn2Co3O12
_space_group_name_H-M_alt 'C 1 m 1'
_space_group_IT_number 8
_space_group_name_Hall 'C -2y'
_cell_length_a 12.679
_cell_length_b 2.943
_cell_length_c 12.042
_cell_angle_alpha 90.00
_cell_angle_beta 104.50
_cell_angle_gamma 90.00
loop_
_atom_site_label
_atom_site_fract_x
_atom_site_fract_y
_atom_site_fract_z
Li1 0.000 0.000 0.000
Li2 0.000 0.000 0.483
Li3 0.161 0.500 0.147
Li4 0.166 0.500 0.667
Li5 0.333 0.000 0.836
Li6 0.339 0.000 0.307
Li7 0.497 0.500 0.237
Mn1 0.160 0.500 0.402
Mn2 0.333 0.000 0.573
Co1 0.006 0.000 0.747
Co2 0.176 0.500 0.915
Co3 0.344 0.000 0.088
O1 0.003 0.500 0.852
O2 0.014 0.500 0.374
O3 0.163 0.000 0.782
O4 0.168 0.000 0.024
O5 0.170 0.000 0.303
O6 0.176 0.000 0.522
O7 0.326 0.500 0.947
O8 0.329 0.500 0.195
O9 0.329 0.500 0.465
O10 0.331 0.500 0.679
O11 0.488 0.000 0.620
O12 0.491 0.000 0.112
```



No. 2
This record from the Materials Project describes Li4MnCo2O7 after structural relaxation. The functional is PBE+U.

Summary:
- MP2020-corrected energy: -6.525 eV per atom
- M_tot: 11.0 μB per formula unit
- Distance to the lowest polymorph of the same formula: 48.2 meV/atom
- Energy relative to the elements: -177.1 kJ/mol of atoms
- Uncorrected energy: -5.8284 eV per atom
- Volume: 8.9 Å³ per atom

```
data_Li4MnCo2O7
_space_group_name_H-M_alt 'P 1'
_space_group_IT_number 1
_space_group_name_Hall 'P 1'
_cell_length_a 4.977
_cell_length_b 6.615
_cell_length_c 7.785
_cell_angle_alpha 85.48
_cell_angle_beta 78.17
_cell_angle_gamma 82.31
loop_
_atom_site_label
_atom_site_fract_x
_atom_site_fract_y
_atom_site_fract_z
Li1 0.000 0.000 0.000
Li2 0.069 0.861 0.341
Li3 0.143 0.715 0.697
Li4 0.270 0.443 0.409
Li5 0.417 0.142 0.129
Li6 0.571 0.863 0.851
Li7 0.716 0.583 0.552
Li8 0.852 0.291 0.267
Mn1 0.496 0.004 0.483
Mn2 0.924 0.147 0.629
Co1 0.206 0.581 0.061
Co2 0.354 0.288 0.770
Co3 0.634 0.726 0.207
Co4 0.778 0.435 0.917
O1 0.037 0.411 0.670
O2 0.107 0.296 0.998
O3 0.173 0.145 0.404
O4 0.245 0.026 0.722
O5 0.334 0.849 0.095
O6 0.401 0.744 0.456
O7 0.464 0.547 0.810
O8 0.521 0.442 0.154
O9 0.602 0.272 0.538
O10 0.675 0.158 0.859
O11 0.720 0.009 0.256
O12 0.803 0.891 0.595
O13 0.900 0.708 0.954
O14 0.945 0.581 0.297
```



Q: Which of these has the highest MP2020-corrected energy?
A: Li4MnCo2O7



Q: Among the records above, which one has the lowest M_tot?
A: Li4MnCo2O7



Q: Among the records above, which one has the lowest MP2020-corrected energy?
A: Li7Mn2Co3O12